(1)
The following is a PBE with a Hubbard U calculation of a relaxed structure of VSi3Bi61O100, from Materials Project.

Calculated values
Crystal system = trigonal
Energy of formation from the pure elements = -1.742 eV/atom
V = 16.6 Å³ per atom
Energy = -974.5 eV per cell
SG = No. 146

a b c (Å): 14.5909 14.5909 17.0986
angles (deg): 64.74 90.00 60.00
Fractional coordinates of all 165 atoms:
V (0.5999, 0.8002, 0.7997)
Si (0.2003, 0.5994, 0.6009)
Si (0.3999, 0.2001, 0.1998)
Si (0.7999, 0.4002, 0.3996)
Bi (0.9999, 0.0002, 0.9998)
Bi (0.0031, 0.4904, 0.3490)
Bi (0.2035, 0.0901, 0.9478)
Bi (0.4017, 0.6905, 0.5505)
Bi (0.6005, 0.2903, 0.1511)
Bi (0.8035, 0.8931, 0.7487)
Bi (0.8257, 0.6876, 0.9936)
Bi (0.0207, 0.2911, 0.5902)
Bi (0.2219, 0.8858, 0.1954)
Bi (0.4211, 0.4893, 0.7920)
Bi (0.6223, 0.0905, 0.3892)
Bi (0.3846, 0.4241, 0.2630)
Bi (0.5843, 0.0260, 0.8642)
Bi (0.7859, 0.6212, 0.4622)
Bi (0.9806, 0.2271, 0.0616)
Bi (0.1842, 0.8241, 0.6618)
Bi (0.3897, 0.7201, 0.8642)
Bi (0.5929, 0.3237, 0.4622)
Bi (0.7923, 0.9190, 0.0616)
Bi (0.9917, 0.5223, 0.6618)
Bi (0.1913, 0.1215, 0.2630)
Bi (0.1091, 0.4494, 0.1511)
Bi (0.3034, 0.0548, 0.7487)
Bi (0.5065, 0.6540, 0.3490)
Bi (0.7064, 0.2557, 0.9478)
Bi (0.9078, 0.8512, 0.5505)
Bi (0.0896, 0.6291, 0.7920)
Bi (0.2871, 0.2331, 0.3892)
Bi (0.4868, 0.8320, 0.9936)
Bi (0.6882, 0.4305, 0.5902)
Bi (0.8924, 0.0264, 0.1954)
Bi (0.3256, 0.4881, 0.9969)
Bi (0.5248, 0.0944, 0.5913)
Bi (0.7248, 0.6902, 0.1966)
Bi (0.9244, 0.2934, 0.7969)
Bi (0.1256, 0.8895, 0.3977)
Bi (0.5850, 0.5282, 0.1966)
Bi (0.7822, 0.1275, 0.7969)
Bi (0.9849, 0.7279, 0.3977)
Bi (0.1863, 0.3286, 0.9969)
Bi (0.3809, 0.9335, 0.5913)
Bi (0.2872, 0.5872, 0.3977)
Bi (0.4851, 0.1893, 0.9969)
Bi (0.6856, 0.7896, 0.5913)
Bi (0.8868, 0.3884, 0.1966)
Bi (0.0903, 0.9853, 0.7969)
Bi (0.0812, 0.6969, 0.1954)
Bi (0.2813, 0.2976, 0.7920)
Bi (0.4797, 0.8979, 0.3892)
Bi (0.6812, 0.4931, 0.9936)
Bi (0.8813, 0.0980, 0.5902)
Bi (0.2887, 0.7307, 0.0616)
Bi (0.4860, 0.3299, 0.6618)
Bi (0.6871, 0.9283, 0.2630)
Bi (0.8902, 0.5255, 0.8642)
Bi (0.0834, 0.1307, 0.4622)
Bi (0.0379, 0.7587, 0.9478)
Bi (0.2410, 0.3573, 0.5505)
Bi (0.4414, 0.9580, 0.1511)
Bi (0.6418, 0.5547, 0.7487)
Bi (0.8395, 0.1575, 0.3490)
O (0.0585, 0.2675, 0.1482)
O (0.6543, 0.0659, 0.9500)
O (0.2566, 0.8655, 0.7489)
O (0.8566, 0.6664, 0.5474)
O (0.4578, 0.4660, 0.3479)
O (0.6710, 0.3955, 0.1572)
O (0.2734, 0.1957, 0.9580)
O (0.8684, 0.9996, 0.7529)
O (0.4696, 0.7964, 0.5564)
O (0.0708, 0.5958, 0.3574)
O (0.5677, 0.4846, 0.8420)
O (0.1666, 0.2857, 0.6423)
O (0.7666, 0.0858, 0.4423)
O (0.3683, 0.8865, 0.2444)
O (0.9699, 0.6805, 0.0430)
O (0.5477, 0.5244, 0.6423)
O (0.1477, 0.3242, 0.4423)
O (0.7452, 0.1239, 0.2444)
O (0.3495, 0.9270, 0.0430)
O (0.9477, 0.7257, 0.8420)
O (0.8780, 0.5076, 0.7489)
O (0.4769, 0.3092, 0.5474)
O (0.0762, 0.1100, 0.3479)
O (0.6740, 0.9103, 0.1482)
O (0.2797, 0.7043, 0.9500)
O (0.5309, 0.3154, 0.9580)
O (0.1320, 0.1156, 0.7529)
O (0.7339, 0.9132, 0.5564)
O (0.3334, 0.7135, 0.3574)
O (0.9335, 0.5138, 0.1572)
O (0.8422, 0.4318, 0.0530)
O (0.4428, 0.2330, 0.8527)
O (0.0421, 0.0355, 0.6495)
O (0.6411, 0.8350, 0.4509)
O (0.2446, 0.6267, 0.2561)
O (0.9224, 0.3926, 0.6495)
O (0.5239, 0.1902, 0.4509)
O (0.1287, 0.9885, 0.2561)
O (0.7260, 0.7892, 0.0530)
O (0.3243, 0.5901, 0.8527)
O (0.0856, 0.4716, 0.8527)
O (0.6851, 0.2728, 0.6495)
O (0.2859, 0.0730, 0.4509)
O (0.8827, 0.8727, 0.2561)
O (0.4848, 0.6730, 0.0530)
O (0.7525, 0.3791, 0.7529)
O (0.3529, 0.1775, 0.5564)
O (0.9532, 0.9760, 0.3574)
O (0.5527, 0.7763, 0.1572)
O (0.1537, 0.5729, 0.9580)
O (0.7235, 0.3066, 0.0430)
O (0.3266, 0.1057, 0.8420)
O (0.9280, 0.9054, 0.6423)
O (0.5281, 0.7053, 0.4423)
O (0.1309, 0.5008, 0.2444)
O (0.0159, 0.3297, 0.9500)
O (0.6144, 0.1291, 0.7489)
O (0.2138, 0.9295, 0.5474)
O (0.8138, 0.7283, 0.3479)
O (0.4157, 0.5258, 0.1482)
O (0.1492, 0.0743, 0.0749)
O (0.7539, 0.8770, 0.8768)
O (0.3571, 0.6786, 0.6788)
O (0.9580, 0.4798, 0.4774)
O (0.5580, 0.2787, 0.2798)
O (0.1633, 0.2782, 0.2798)
O (0.7765, 0.0742, 0.0749)
O (0.3691, 0.8771, 0.8768)
O (0.9643, 0.6783, 0.6788)
O (0.5622, 0.4806, 0.4774)
O (0.3208, 0.3585, 0.9623)
O (0.9255, 0.1490, 0.7765)
O (0.5218, 0.9564, 0.5654)
O (0.1226, 0.7549, 0.3677)
O (0.7214, 0.5572, 0.1642)
O (0.7538, 0.4923, 0.8768)
O (0.3574, 0.2855, 0.6788)
O (0.9572, 0.0848, 0.4774)
O (0.5586, 0.8835, 0.2798)
O (0.1492, 0.7016, 0.0749)
O (0.3257, 0.1622, 0.1622)
O (0.8988, 0.9496, 0.9492)
O (0.5215, 0.7611, 0.7604)
O (0.1254, 0.5618, 0.5638)
O (0.7245, 0.3632, 0.3624)
O (0.5121, 0.1635, 0.1622)
O (0.1516, 0.9496, 0.9492)
O (0.7174, 0.7611, 0.7604)
O (0.3128, 0.5616, 0.5638)
O (0.9123, 0.3621, 0.3624)
O (0.6392, 0.7217, 0.9175)
O (0.2378, 0.5244, 0.7134)
O (0.8373, 0.3253, 0.5120)
O (0.4374, 0.1253, 0.3121)
O (0.0504, 0.8992, 0.1512)
O (0.8988, 0.2024, 0.9492)
O (0.5215, 0.9571, 0.7604)
O (0.1256, 0.7491, 0.5638)
O (0.7256, 0.5499, 0.3624)
O (0.3244, 0.3499, 0.1622)

***

(2)
The following is a PBE with a Hubbard U calculation of a relaxed structure of Sr2V3Bi3O14, from Materials Project.

Calculated values
Crystal system = triclinic
Energy of formation from the pure elements = -2.433 eV/atom
V = 15.5 Å³ per atom
Energy = -300.8 eV per cell
SG = No. 2

a b c (Å): 7.2692 7.2188 14.4087
angles (deg): 96.52 100.95 110.71
Fractional coordinates of all 44 atoms:
Sr (0.1495, 0.7180, 0.9332)
Sr (0.8505, 0.2820, 0.0668)
Sr (0.0852, 0.7597, 0.4416)
Sr (0.9148, 0.2403, 0.5584)
V (0.6464, 0.7036, 0.9240)
V (0.3536, 0.2964, 0.0760)
V (0.6056, 0.7665, 0.4288)
V (0.3944, 0.2335, 0.5712)
V (0.8400, 0.2387, 0.8009)
V (0.1600, 0.7613, 0.1991)
Bi (0.3752, 0.7736, 0.6983)
Bi (0.6248, 0.2264, 0.3017)
Bi (0.8657, 0.7096, 0.6725)
Bi (0.1343, 0.2904, 0.3275)
Bi (0.6641, 0.7813, 0.1693)
Bi (0.3359, 0.2187, 0.8307)
O (0.8319, 0.8022, 0.8671)
O (0.1681, 0.1978, 0.1329)
O (0.6660, 0.6441, 0.3356)
O (0.3340, 0.3559, 0.6644)
O (0.8161, 0.1187, 0.2292)
O (0.1839, 0.8813, 0.7708)
O (0.3606, 0.5346, 0.0596)
O (0.6394, 0.4654, 0.9404)
O (0.4212, 0.8921, 0.1955)
O (0.5788, 0.1079, 0.8045)
O (0.8186, 0.8391, 0.5293)
O (0.1814, 0.1609, 0.4707)
O (0.5926, 0.3496, 0.1533)
O (0.4074, 0.6504, 0.8467)
O (0.9295, 0.3801, 0.3970)
O (0.0705, 0.6199, 0.6030)
O (0.6055, 0.9999, 0.4064)
O (0.3945, 0.0001, 0.5936)
O (0.0016, 0.6860, 0.0852)
O (0.9984, 0.3140, 0.9148)
O (0.6784, 0.8844, 0.0291)
O (0.3216, 0.1156, 0.9709)
O (0.3721, 0.6180, 0.4464)
O (0.6279, 0.3820, 0.5536)
O (0.0866, 0.9067, 0.2772)
O (0.9134, 0.0933, 0.7228)
O (0.1213, 0.5401, 0.2420)
O (0.8787, 0.4599, 0.7580)

***

(3)
The following is a PBE with a Hubbard U calculation of a relaxed structure of TaBiW2O10, from Materials Project.

Calculated values
Crystal system = orthorhombic
Energy of formation from the pure elements = -2.270 eV/atom
V = 14.1 Å³ per atom
Energy = -107.2 eV per cell
SG = No. 38

a b c (Å): 7.5605 7.5605 3.9776
angles (deg): 90.00 90.00 119.99
Fractional coordinates of all 14 atoms:
Ta (0.4951, 0.4951, 0.5000)
Bi (0.9993, 0.9993, 0.5000)
W (0.5034, 0.9996, 0.5000)
W (0.9996, 0.5034, 0.5000)
O (0.4143, 0.2000, 0.5000)
O (0.7913, 0.2119, 0.5000)
O (0.7969, 0.5861, 0.5000)
O (0.2000, 0.4143, 0.5000)
O (0.2119, 0.7913, 0.5000)
O (0.5861, 0.7969, 0.5000)
O (0.4969, 0.4969, 0.0000)
O (0.5042, 0.0004, 0.0000)
O (0.0004, 0.5042, 0.0000)
O (0.0006, 0.0006, 0.0000)

***

Question: What is the formula in the first record?
Answer: VSi3Bi61O100